! Sm2B4O9 (r²SCAN, relaxed); values from VASP
! * calculated formation energy: -3.11 eV/atom
! * magnetization: 0.00 μB per formula unit
&SYSTEM
  ibrav = 0, nat = 30, ntyp = 3
/
ATOMIC_SPECIES
Sm 150.36 Sm.upf
B 10.81 B.upf
O 16.00 O.upf
CELL_PARAMETERS angstrom
6.225 0.000 0.000
-1.418 6.359 0.000
-0.920 -1.845 7.279
ATOMIC_POSITIONS crystal
Sm 0.046 0.092 0.284
Sm 0.387 0.677 0.357
Sm 0.613 0.323 0.643
Sm 0.954 0.908 0.716
B 0.126 0.357 0.653
B 0.162 0.678 0.926
B 0.229 0.335 0.981
B 0.495 0.150 0.187
B 0.505 0.850 0.813
B 0.771 0.665 0.019
B 0.838 0.322 0.074
B 0.874 0.643 0.347
O 0.005 0.784 0.017
O 0.042 0.536 0.749
O 0.076 0.815 0.441
O 0.261 0.265 0.791
O 0.272 0.568 0.038
O 0.278 0.407 0.526
O 0.314 0.863 0.882
O 0.360 0.282 0.139
O 0.435 0.050 0.322
O 0.565 0.950 0.678
O 0.640 0.718 0.861
O 0.686 0.137 0.118
O 0.722 0.593 0.474
O 0.728 0.432 0.962
O 0.739 0.735 0.209
O 0.924 0.185 0.559
O 0.958 0.464 0.251
O 0.995 0.216 0.983